# 1
This record from Materials Project describes a relaxed structure of Cu2H6C3Br2N6. The functional is r2SCAN.

Density in kg/m3: 2948
Energy of formation in eV per atom: -0.26
Total magnetic moment in μB per cell: 0.000

Lattice parameters (Å, degrees): 3.8111 7.5841 16.2630 90.00 90.00 98.23
Atoms (fractional coordinates):
Cu1 0.3217 0.4745 0.0697
Cu2 0.6783 0.5255 0.5697
Cu3 0.6783 0.5255 0.9303
Cu4 0.3217 0.4745 0.4303
H1 0.1022 0.6320 0.3037
H2 0.5114 0.8351 0.9443
H3 0.8978 0.3680 0.6963
H4 0.3778 0.0106 0.8881
H5 0.6222 0.9894 0.1119
H6 0.3778 0.0106 0.6119
H7 0.6222 0.9894 0.3881
H8 0.5114 0.8351 0.5557
H9 0.4886 0.1649 0.0557
H10 0.4886 0.1649 0.4443
H11 0.1022 0.6320 0.1963
H12 0.8978 0.3680 0.8037
N1 0.5213 0.1017 0.2500
N2 0.5213 0.1053 0.1101
N3 0.6542 0.6524 0.8237
N4 0.4787 0.8947 0.6101
N5 0.5213 0.1053 0.3899
N6 0.4787 0.8983 0.7500
N7 0.6542 0.6524 0.6763
N8 0.8275 0.4204 0.7500
N9 0.4787 0.8947 0.8899
N10 0.1725 0.5796 0.2500
N11 0.3458 0.3476 0.3237
N12 0.3458 0.3476 0.1763
C1 0.5383 0.8140 0.6806
C2 0.4617 0.1860 0.1806
C3 0.2880 0.4215 0.2500
C4 0.5383 0.8140 0.8194
C5 0.7120 0.5785 0.7500
C6 0.4617 0.1860 0.3194
Br1 0.8746 0.6983 0.0563
Br2 0.1254 0.3017 0.9437
Br3 0.8746 0.6983 0.4437
Br4 0.1254 0.3017 0.5563


# 2
This record from Materials Project describes a relaxed structure of Dy5C2Br9. The functional is r2SCAN.

Density in kg/m3: 5536
Energy of formation in eV per atom: -1.84
Total magnetic moment in μB per cell: 0.000

Lattice parameters (Å, degrees): 16.4021 9.9896 13.3667 58.45 90.00 90.00
Atoms (fractional coordinates):
Br1 0.4360 0.0310 0.2373
Br2 0.3176 0.8040 0.5609
Br3 0.8188 0.9925 0.7533
Br4 0.1919 0.5980 0.8588
Br5 0.4311 0.8020 0.0580
Br6 0.8004 0.5837 0.3291
Br7 0.5689 0.1980 0.9420
Br8 0.6996 0.5837 0.8291
Br9 0.8261 0.7843 0.5317
Br10 0.8081 0.4020 0.1412
Br11 0.0676 0.4096 0.1521
Br12 0.9324 0.5904 0.8479
Br13 0.9360 0.9690 0.2627
Br14 0.5676 0.5904 0.3479
Br15 0.6919 0.4020 0.6412
Br16 0.3188 0.0075 0.7467
Br17 0.3261 0.2157 0.9683
Br18 0.1824 0.8040 0.0609
Br19 0.6824 0.1960 0.4391
Br20 0.8176 0.1960 0.9391
Br21 0.4324 0.4096 0.6521
Br22 0.0640 0.0310 0.7373
Br23 0.6812 0.9925 0.2533
Br24 0.3004 0.4163 0.1709
Br25 0.5587 0.8193 0.5402
Br26 0.1996 0.4163 0.6709
Br27 0.1739 0.2157 0.4683
Br28 0.6739 0.7843 0.0317
Br29 0.5640 0.9690 0.7627
Br30 0.0689 0.8020 0.5580
Br31 0.1812 0.0075 0.2467
Br32 0.4413 0.1807 0.4598
Br33 0.3081 0.5980 0.3588
Br34 0.9311 0.1980 0.4420
Br35 0.9413 0.8193 0.0402
Br36 0.0587 0.1807 0.9598
Dy1 0.9593 0.6624 0.4646
Dy2 0.5561 0.5070 0.7369
Dy3 0.3379 0.5112 0.7787
Dy4 0.6621 0.4888 0.2213
Dy5 0.0561 0.4930 0.7631
Dy6 0.3134 0.7146 0.9449
Dy7 0.0582 0.8601 0.1873
Dy8 0.4418 0.8601 0.6873
Dy9 0.5582 0.1399 0.3127
Dy10 0.4593 0.3376 0.0354
Dy11 0.5407 0.6624 0.9646
Dy12 0.4439 0.4930 0.2631
Dy13 0.1866 0.7146 0.4449
Dy14 0.8134 0.2854 0.5551
Dy15 0.1621 0.5112 0.2787
Dy16 0.8379 0.4888 0.7213
Dy17 0.9418 0.1399 0.8127
Dy18 0.0407 0.3376 0.5354
Dy19 0.9439 0.5070 0.2369
Dy20 0.6866 0.2854 0.0551
C1 0.9111 0.3719 0.6195
C2 0.9700 0.4266 0.6699
C3 0.5889 0.3719 0.1195
C4 0.4700 0.5734 0.8301
C5 0.0300 0.5734 0.3301
C6 0.0889 0.6281 0.3805
C7 0.4111 0.6281 0.8805
C8 0.5300 0.4266 0.1699